Record 1
A plane-wave DFT calculation with PBE-GGA was carried out for a relaxed structure of Na3Nb2In2SiP5O24.

V in Å³/f.u.: 531
Space-group type: No. 1
Calculated total energy in eV/atom: -7.15

Lattice parameters (Å, degrees): 8.949 8.919 23.045 90.05 89.95 119.95
Sites, in units of the cell vectors:
1 P 0.290 0.292 0.750
2 O 0.517 0.877 0.363
3 O 0.472 0.301 0.744
4 In 0.664 0.334 0.481
5 P 0.666 0.044 0.083
6 P 0.334 0.377 0.415
7 In 0.667 0.333 0.981
8 O 0.452 0.303 0.028
9 O 0.121 0.639 0.362
10 O 0.501 0.133 0.641
11 O 0.154 0.472 0.257
12 In 0.007 0.004 0.149
13 O 0.034 0.194 0.910
14 O 0.359 0.883 0.860
15 O 0.528 0.683 0.256
16 In 0.336 0.664 0.816
17 P 0.708 0.710 0.249
18 O 0.496 0.637 0.576
19 O 0.830 0.802 0.303
20 O 0.198 0.027 0.305
21 O 0.162 0.468 0.971
22 O 0.839 0.546 0.027
23 P 0.624 0.665 0.917
24 O 0.540 0.696 0.973
25 Nb 0.325 0.666 0.020
26 P 0.001 0.291 0.250
27 O 0.784 0.970 0.689
28 Na 0.676 0.700 0.083
29 O 0.511 0.844 0.755
30 O 0.635 0.131 0.138
31 Nb 0.329 0.667 0.520
32 O 0.976 0.814 0.090
33 O 0.367 0.851 0.575
34 In 0.333 0.667 0.315
35 O 0.828 0.300 0.244
36 Si 0.708 0.997 0.748
37 O 0.030 0.837 0.409
38 O 0.829 0.528 0.744
39 O 0.837 0.028 0.806
40 P 0.998 0.707 0.751
41 Na 0.008 0.003 0.003
42 O 0.783 0.811 0.193
43 O 0.186 0.971 0.196
44 Na 0.327 0.667 0.171
45 O 0.179 0.011 0.588
46 O 0.694 0.180 0.743
47 O 0.861 0.496 0.141
48 O 0.538 0.841 0.472
49 In 0.003 0.999 0.649
50 O 0.861 0.347 0.922
51 Na 0.360 0.993 0.751
52 P 0.376 0.331 0.083
53 O 0.163 0.970 0.911
54 P 0.041 0.666 0.415
55 Nb 0.669 0.332 0.687
56 O 0.473 0.170 0.244
57 O 0.975 0.175 0.590
58 O 0.498 0.366 0.137
59 P 0.042 0.375 0.916
60 O 0.460 0.152 0.526
61 O 0.650 0.510 0.922
62 Nb 0.672 0.335 0.188
63 O 0.027 0.213 0.195
64 Nb 0.001 0.001 0.354
65 O 0.694 0.147 0.028
66 O 0.204 0.169 0.804
67 P 0.625 0.958 0.416
68 O 0.156 0.687 0.758
69 P 0.666 0.622 0.582
70 O 0.304 0.466 0.470
71 Nb 0.994 0.999 0.855
72 O 0.194 0.182 0.090
73 P 0.333 0.960 0.915
74 O 0.655 0.141 0.422
75 O 0.972 0.171 0.305
76 O 0.121 0.482 0.862
77 Na 0.665 0.332 0.337
78 Si 0.958 0.626 0.083
79 O 0.038 0.819 0.697
80 O 0.848 0.303 0.529
81 O 0.698 0.548 0.528
82 Na 0.674 0.342 0.837
83 O 0.808 0.836 0.910
84 Si 0.370 0.044 0.582
85 O 0.814 0.809 0.589
86 O 0.359 0.481 0.361
87 O 0.695 0.526 0.244
88 Na 0.673 0.972 0.586
89 O 0.163 0.193 0.409
90 O 0.150 0.639 0.075
91 O 0.817 0.010 0.091
92 O 0.861 0.512 0.423
93 O 0.807 0.968 0.409
94 O 0.499 0.857 0.076
95 O 0.972 0.800 0.805
96 O 0.187 0.214 0.695
97 O 0.315 0.472 0.756
98 O 0.162 0.695 0.471
99 O 0.306 0.837 0.970
100 O 0.639 0.506 0.637
101 O 0.317 0.844 0.257
102 O 0.520 0.641 0.863
103 Na 0.330 0.655 0.670
104 O 0.870 0.367 0.638
105 O 0.140 0.503 0.576
106 O 0.490 0.139 0.923
107 O 0.488 0.350 0.421
108 P 0.292 0.000 0.250
109 P 0.958 0.336 0.582
110 Na 0.012 0.001 0.503
111 O 0.372 0.508 0.076



Record 2
A plane-wave DFT calculation with PBE-GGA was carried out for a relaxed structure of MgF2.

V in Å³/f.u.: 32
Space-group type: No. 38
Calculated total energy in eV/atom: -5.07

Lattice parameters (Å, degrees): 2.831 3.771 3.245 90.00 90.00 112.04
Sites, in units of the cell vectors:
1 F 0.300 0.600 0.500
2 Mg 0.013 0.026 0.500
3 F 0.562 0.124 0.000



Record 3
A plane-wave DFT calculation with PBE-GGA was carried out for a relaxed structure of BaSb2Au2.

V in Å³/f.u.: 138
Space-group type: No. 11
Calculated total energy in eV/atom: -3.95

Lattice parameters (Å, degrees): 4.875 4.995 11.305 88.76 90.00 90.00
Sites, in units of the cell vectors:
1 Sb 0.750 0.753 0.501
2 Sb 0.250 0.805 0.124
3 Ba 0.250 0.738 0.756
4 Au 0.250 0.310 0.999
5 Ba 0.750 0.262 0.244
6 Au 0.250 0.748 0.366
7 Sb 0.250 0.247 0.499
8 Sb 0.750 0.195 0.876
9 Au 0.750 0.252 0.634
10 Au 0.750 0.690 0.001



Record 4
A plane-wave DFT calculation with PBE-GGA was carried out for a relaxed structure of Sr5MnN4.

V in Å³/f.u.: 234
Space-group type: No. 11
Calculated total energy in eV/atom: -5.54

Lattice parameters (Å, degrees): 9.891 15.636 13.366 90.00 115.06 90.00
Sites, in units of the cell vectors:
1 Mn 0.642 0.750 0.444
2 Sr 0.514 0.250 0.833
3 N 0.929 0.491 0.677
4 Mn 0.087 0.956 0.209
5 N 0.071 0.509 0.323
6 Sr 0.569 0.250 0.281
7 N 0.258 0.250 0.637
8 N 0.654 0.984 0.142
9 Sr 0.166 0.356 0.765
10 N 0.334 0.250 0.911
11 Sr 0.490 0.113 0.020
12 N 0.373 0.372 0.175
13 Sr 0.510 0.887 0.980
14 Sr 0.272 0.871 0.438
15 Sr 0.789 0.750 0.957
16 Mn 0.913 0.456 0.791
17 Sr 0.795 0.001 0.968
18 Sr 0.728 0.371 0.562
19 Sr 0.231 0.367 0.288
20 Sr 0.000 0.500 0.500
21 Sr 0.272 0.629 0.438
22 Sr 0.795 0.499 0.968
23 Sr 0.769 0.633 0.712
24 N 0.929 0.009 0.677
25 Mn 0.358 0.250 0.556
26 Sr 0.435 0.515 0.715
27 N 0.666 0.750 0.089
28 N 0.627 0.872 0.825
29 Sr 0.000 0.000 0.500
30 Sr 0.834 0.644 0.235
31 N 0.742 0.750 0.363
32 N 0.900 0.250 0.648
33 Sr 0.035 0.750 0.516
34 Sr 0.486 0.750 0.167
35 N 0.988 0.891 0.104
36 N 0.654 0.516 0.142
37 N 0.738 0.340 0.003
38 N 0.993 0.250 0.181
39 N 0.627 0.628 0.825
40 Sr 0.205 0.999 0.032
41 N 0.012 0.391 0.896
42 Sr 0.431 0.750 0.719
43 Sr 0.850 0.403 0.227
44 Sr 0.850 0.097 0.227
45 Sr 0.231 0.133 0.288
46 N 0.988 0.609 0.104
47 N 0.373 0.128 0.175
48 Sr 0.965 0.250 0.484
49 Sr 0.565 0.015 0.285
50 Sr 0.565 0.485 0.285
51 N 0.738 0.160 0.003
52 N 0.791 0.383 0.396
53 Mn 0.173 0.750 0.935
54 N 0.209 0.617 0.604
55 Sr 0.166 0.144 0.765
56 Sr 0.769 0.867 0.712
57 N 0.100 0.750 0.352
58 N 0.262 0.840 0.997
59 Sr 0.834 0.856 0.235
60 N 0.071 0.991 0.323
61 N 0.346 0.016 0.858
62 Sr 0.435 0.985 0.715
63 Mn 0.913 0.044 0.791
64 N 0.209 0.883 0.604
65 Sr 0.150 0.597 0.773
66 Sr 0.864 0.250 0.820
67 Mn 0.087 0.544 0.209
68 Sr 0.205 0.501 0.032
69 Sr 0.728 0.129 0.562
70 Sr 0.136 0.750 0.180
71 Sr 0.150 0.903 0.773
72 Sr 0.211 0.250 0.043
73 Mn 0.827 0.250 0.065
74 Sr 0.490 0.387 0.020
75 N 0.012 0.109 0.896
76 N 0.262 0.660 0.997
77 Sr 0.510 0.613 0.980
78 N 0.346 0.484 0.858
79 N 0.007 0.750 0.819
80 N 0.791 0.117 0.396



Record 5
A plane-wave DFT calculation with PBE-GGA was carried out for a relaxed structure of Mg3H6SeO3.

V in Å³/f.u.: 202
Space-group type: No. 1
Calculated total energy in eV/atom: -4.39

Lattice parameters (Å, degrees): 7.970 6.745 4.162 113.80 83.84 86.94
Sites, in units of the cell vectors:
1 H 0.971 0.747 0.030
2 H 0.736 0.020 0.417
3 Mg 0.181 0.460 0.586
4 O 0.860 0.024 0.401
5 H 0.663 0.799 0.914
6 Se 0.179 0.215 0.926
7 H 0.372 0.619 0.685
8 O 0.008 0.705 0.776
9 H 0.767 0.507 0.905
10 Mg 0.890 0.997 0.861
11 H 0.725 0.434 0.755
12 Mg 0.393 0.907 0.830
13 O 0.626 0.939 0.914